(1)
DFT (PBE+U) results for a geometry-optimized GdWClO4 structure.

a b c (Å): 6.4192 6.4192 7.0401
angles (deg): 104.16 104.16 70.94
Last column: nearest neighbours and their distance in Å.
Fractional coordinates of all 14 atoms:
Gd 0.2217 0.2217 0.1178  4 O 2.34-2.35
Gd 0.7783 0.7783 0.8822  4 O 2.34-2.35
W 0.3627 0.3627 0.7326  4 O 1.80-1.83
W 0.6373 0.6373 0.2674  4 O 1.80-1.83
Cl 0.0120 0.0120 0.7690  2 Gd 2.76-2.79
Cl 0.9880 0.9880 0.2310  2 Gd 2.76-2.79
O 0.1111 0.4914 0.8452  1 W 1.83
O 0.2934 0.2934 0.4662  1 W 1.80
O 0.4565 0.4565 0.1993  1 W 1.81
O 0.4914 0.1111 0.8452  1 W 1.83
O 0.5086 0.8889 0.1548  1 W 1.83
O 0.5435 0.5435 0.8007  1 W 1.81
O 0.7066 0.7066 0.5338  1 W 1.80
O 0.8889 0.5086 0.1548  1 W 1.83

Computed properties:
- Total moment: 7.00 μB/f.u.
- Crystal system: monoclinic

(2)
DFT (PBE+U) results for a geometry-optimized NdCrO3 structure.

a b c (Å): 3.9019 3.9019 3.9019
angles (deg): 90.00 90.00 90.00
Last column: nearest neighbours and their distance in Å.
Fractional coordinates of all 5 atoms:
Nd 0.0000 0.0000 0.0000  12 O 2.76
Cr 0.5000 0.5000 0.5000  6 O 1.95
O 0.0000 0.5000 0.5000  2 Cr 1.95
O 0.5000 0.0000 0.5000  2 Cr 1.95
O 0.5000 0.5000 0.0000  2 Cr 1.95

Computed properties:
- Total moment: 3.00 μB/f.u.
- Crystal system: cubic

(3)
DFT (PBE+U) results for a geometry-optimized Li3VH16O12 structure.

a b c (Å): 7.3523 6.5438 13.0583
angles (deg): 90.00 111.87 90.00
Last column: nearest neighbours and their distance in Å.
Fractional coordinates of all 64 atoms:
Li 0.0000 0.0465 0.0000  4 O 1.97-1.99
Li 0.0000 0.9535 0.5000  4 O 1.97-1.99
Li 0.5152 0.3563 0.5557  4 O 1.96-2.01
Li 0.5152 0.6437 0.0557  4 O 1.96-2.01
Li 0.6511 0.1516 0.7552  4 O 1.93-2.03
Li 0.6511 0.8484 0.2552  4 O 1.93-2.03
V 0.1808 0.4539 0.3179  4 O 1.74-1.76
V 0.1808 0.5461 0.8179  4 O 1.74-1.76
H 0.0103 0.1433 0.8131  1 O 1.01
H 0.0103 0.8567 0.3131  1 O 1.01
H 0.0783 0.2646 0.6296  1 O 1.00
H 0.0783 0.7354 0.1296  1 O 1.00
H 0.1173 0.3217 0.5179  1 O 1.01
H 0.1173 0.6783 0.0179  1 O 1.01
H 0.2532 0.3246 0.0220  1 O 1.01
H 0.2532 0.6754 0.5220  1 O 1.01
H 0.2840 0.2491 0.1433  1 O 1.00
H 0.2840 0.7509 0.6433  1 O 1.00
H 0.3497 0.1435 0.8078  1 O 1.00
H 0.3497 0.8565 0.3078  1 O 1.00
H 0.4308 0.0839 0.3129  1 O 0.99
H 0.4308 0.9161 0.8129  1 O 0.99
H 0.4349 0.0295 0.0793  1 O 1.00
H 0.4349 0.9705 0.5793  1 O 1.00
H 0.5323 0.4711 0.2372  1 O 1.00
H 0.5323 0.5289 0.7372  1 O 1.00
H 0.5916 0.4006 0.3999  1 O 0.99
H 0.5916 0.5994 0.8999  1 O 0.99
H 0.6445 0.0174 0.0723  1 O 1.00
H 0.6445 0.9826 0.5723  1 O 1.00
H 0.7496 0.2988 0.0123  1 O 0.99
H 0.7497 0.4629 0.2335  1 O 1.01
H 0.7497 0.5371 0.7335  1 O 1.01
H 0.7496 0.7012 0.5123  1 O 0.99
H 0.8081 0.3599 0.4937  1 O 1.00
H 0.8081 0.6401 0.9937  1 O 1.00
H 0.8789 0.2320 0.1339  1 O 1.01
H 0.8789 0.7680 0.6339  1 O 1.01
H 0.9382 0.0897 0.3102  1 O 1.01
H 0.9382 0.9103 0.8102  1 O 1.01
O 0.0308 0.2411 0.5478  2 H 1.00-1.01
O 0.0308 0.7589 0.0478  2 H 1.00-1.01
O 0.1432 0.2956 0.7703  3 H 1.63-1.73, 1 V 1.74
O 0.1432 0.7044 0.2703  3 H 1.63-1.73, 1 V 1.74
O 0.2507 0.1987 0.0661  2 H 1.00-1.01
O 0.2507 0.8013 0.5661  2 H 1.00-1.01
O 0.2538 0.4511 0.4619  2 H 1.67-1.68, 1 V 1.75
O 0.2538 0.5489 0.9619  2 H 1.67-1.68, 1 V 1.75
O 0.3669 0.3456 0.2804  4 H 1.73-1.84, 1 V 1.76
O 0.3669 0.6544 0.7804  4 H 1.73-1.84, 1 V 1.76
O 0.4714 0.0619 0.8223  2 H 0.99-1.00
O 0.4714 0.9381 0.3223  2 H 0.99-1.00
O 0.5503 0.0636 0.5953  2 H 1.00
O 0.5503 0.9364 0.0953  2 H 1.00
O 0.6277 0.4516 0.7136  2 H 1.00-1.01
O 0.6277 0.5484 0.2136  2 H 1.00-1.01
O 0.6827 0.4384 0.4752  2 H 0.99-1.00
O 0.6827 0.5616 0.9752  2 H 0.99-1.00
O 0.8149 0.1771 0.0562  2 H 0.99-1.01
O 0.8149 0.8229 0.5562  2 H 0.99-1.01
O 0.9220 0.0514 0.8367  2 H 1.01
O 0.9220 0.9486 0.3367  2 H 1.01
O 0.9606 0.3195 0.2598  3 H 1.63-1.73, 1 V 1.75
O 0.9606 0.6805 0.7598  3 H 1.63-1.73, 1 V 1.75

Computed properties:
- Total moment: 0.00 μB/f.u.
- Energy above the lowest structure with this stoichiometry: 4 meV per atom
- Crystal system: monoclinic

(4)
DFT (PBE+U) results for a geometry-optimized Mn4O7F structure.

a b c (Å): 5.4980 6.6561 6.7056
angles (deg): 96.04 91.13 90.67
Last column: nearest neighbours and their distance in Å.
Fractional coordinates of all 24 atoms:
Mn 0.0000 0.0000 0.0000  5 O 1.88-1.97, 1 F 2.02
Mn 0.0025 0.5090 0.4995  6 O 1.93-2.04
Mn 0.2957 0.2635 0.7494  4 O 1.94-1.95, 2 F 2.07-2.15
Mn 0.2988 0.7594 0.2509  6 O 1.93-1.98
Mn 0.4984 0.7654 0.7444  6 O 1.93-1.99
Mn 0.5047 0.2617 0.2356  5 O 1.87-2.00, 1 F 1.96
Mn 0.7762 0.5267 0.0037  5 O 1.87-1.94, 1 F 2.01
Mn 0.8149 0.0009 0.4934  5 O 1.91-1.97, 1 F 2.09
O 0.0330 0.2294 0.5511  3 Mn 1.93-1.94
O 0.0346 0.7276 0.0445  3 Mn 1.88-1.98
O 0.0422 0.7876 0.4484  3 Mn 1.91-1.95
O 0.2568 0.5461 0.7031  3 Mn 1.93-1.96
O 0.2571 0.9826 0.8024  3 Mn 1.95-1.99
O 0.2598 0.0433 0.2020  3 Mn 1.95-1.97
O 0.2602 0.4784 0.2954  3 Mn 1.93-2.00
O 0.5314 0.7203 0.0281  3 Mn 1.87-1.98
O 0.5338 0.3128 0.9680  3 Mn 1.87-1.94
O 0.5344 0.8140 0.4682  3 Mn 1.93-1.96
O 0.7526 0.5611 0.7201  3 Mn 1.94-2.04
O 0.7549 0.4683 0.2794  3 Mn 1.93-1.98
O 0.7614 0.9674 0.7778  3 Mn 1.96-1.97
O 0.7646 0.0570 0.2164  3 Mn 1.95-1.98
F 0.0129 0.2983 0.9658  3 Mn 2.01-2.15
F 0.5415 0.2165 0.5187  3 Mn 1.96-2.09

Computed properties:
- Total moment: 13.00 μB/f.u.
- Energy above the lowest structure with this stoichiometry: 6 meV per atom
- Crystal system: triclinic

(5)
DFT (PBE+U) results for a geometry-optimized LaFeO3 structure.

a b c (Å): 5.5670 5.5670 5.5670
angles (deg): 60.87 60.87 60.87
Last column: nearest neighbours and their distance in Å.
Fractional coordinates of all 10 atoms:
La 0.2500 0.2500 0.2500  3 O 2.39
La 0.7500 0.7500 0.7500  3 O 2.39
Fe 0.0000 0.0000 0.0000  6 O 2.03
Fe 0.5000 0.5000 0.5000  6 O 2.03
O 0.1744 0.7500 0.3256  2 Fe 2.03
O 0.2500 0.6744 0.8256  2 Fe 2.03
O 0.3256 0.1744 0.7500  2 Fe 2.03
O 0.6744 0.8256 0.2500  2 Fe 2.03
O 0.7500 0.3256 0.1744  2 Fe 2.03
O 0.8256 0.2500 0.6744  2 Fe 2.03

Computed properties:
- Crystal system: trigonal

(6)
DFT (PBE+U) results for a geometry-optimized Ti3MnCu2P6O24 structure.

a b c (Å): 8.6180 8.6180 8.6180
angles (deg): 59.98 59.98 59.98
Last column: nearest neighbours and their distance in Å.
Fractional coordinates of all 36 atoms:
Ti 0.0000 0.0000 0.0000  6 O 1.90-2.04
Ti 0.2134 0.2134 0.2134  6 O 1.89-1.98
Ti 0.5008 0.5008 0.5008  6 O 1.89-2.04
Mn 0.7134 0.7134 0.7134  6 O 1.98-2.08
Cu 0.3569 0.3569 0.3569  6 O 2.27-2.31
Cu 0.8573 0.8573 0.8573  6 O 2.23
P 0.1060 0.8154 0.3999  4 O 1.54-1.55
P 0.3145 0.6075 0.8997  4 O 1.51-1.56
P 0.3999 0.1060 0.8154  4 O 1.54-1.55
P 0.6075 0.8997 0.3145  4 O 1.51-1.56
P 0.8154 0.3999 0.1060  4 O 1.54-1.55
P 0.8997 0.3145 0.6075  4 O 1.51-1.56
O 0.0477 0.8591 0.2351  1 P 1.55
O 0.0906 0.2921 0.4402  1 P 1.55
O 0.1198 0.7722 0.9135  1 P 1.56
O 0.1682 0.9782 0.3510  1 P 1.54
O 0.2351 0.0477 0.8591  1 P 1.55
O 0.2732 0.6239 0.4121  1 P 1.55
O 0.2921 0.4402 0.0906  1 P 1.55
O 0.3510 0.1682 0.9782  1 P 1.54
O 0.3596 0.5502 0.7335  1 P 1.55
O 0.4121 0.2732 0.6239  1 P 1.55
O 0.4402 0.0906 0.2921  1 P 1.55
O 0.4692 0.6642 0.8709  1 P 1.51
O 0.5502 0.7335 0.3596  1 P 1.55
O 0.5918 0.9439 0.8056  1 P 1.54
O 0.6239 0.4121 0.2732  1 P 1.55
O 0.6642 0.8709 0.4692  1 P 1.51
O 0.7335 0.3596 0.5502  1 P 1.55
O 0.7722 0.9135 0.1198  1 P 1.56
O 0.8056 0.5918 0.9439  1 P 1.54
O 0.8591 0.2351 0.0477  1 P 1.55
O 0.8709 0.4692 0.6642  1 P 1.51
O 0.9135 0.1198 0.7722  1 P 1.56
O 0.9439 0.8056 0.5918  1 P 1.54
O 0.9782 0.3510 0.1682  1 P 1.54

Computed properties:
- Total moment: 3.00 μB/f.u.
- Crystal system: trigonal

no.,total DFT energy (no corrections) (eV per atom),formation enthalpy at 0 K (eV/atom)
1,-8.575,-2.649
2,-8.040,-2.999
3,-5.281,-1.577
4,-6.989,-1.885
5,-7.640,-2.853
6,-7.503,-2.667